Arrangement P

MgCr2O5 | PBE with a Hubbard U | optimized geometry

Properties
- space-group type = No. 63

```
16
Lattice="1.850 -5.035 0.000 1.850 5.035 0.000 0.000 0.000 11.244" Properties=species:S:1:pos:R:3 pbc="T T T"
Mg 1.850 3.957 8.433
Mg 1.850 -3.957 2.811
Cr 1.850 2.941 1.086
Cr 1.850 2.941 4.536
Cr 1.850 -2.941 6.708
Cr 1.850 -2.941 10.158
O 1.850 4.582 1.504
O 1.850 4.582 4.118
O 1.850 2.697 6.497
O 1.850 2.697 10.369
O 1.850 2.009 2.811
O 1.850 -2.009 8.433
O 1.850 -2.697 0.875
O 1.850 -2.697 4.747
O 1.850 -4.582 7.126
O 1.850 -4.582 9.740
```

Arrangement Q

MgCr2O5 | PBE with a Hubbard U | optimized geometry

Properties
- space-group type = No. 59

```
16
Lattice="3.448 0.000 0.000 0.000 11.560 0.000 0.000 0.000 4.824" Properties=species:S:1:pos:R:3 pbc="T T T"
Mg 0.862 2.890 0.720
Mg 2.586 8.670 4.104
Cr 0.862 6.934 1.994
Cr 0.862 10.407 1.994
Cr 2.586 1.153 2.830
Cr 2.586 4.627 2.830
O 0.862 0.866 2.082
O 0.862 4.914 2.082
O 0.862 7.428 0.333
O 0.862 8.670 2.807
O 0.862 9.913 0.333
O 2.586 1.647 4.491
O 2.586 2.890 2.017
O 2.586 4.133 4.491
O 2.586 6.646 2.742
O 2.586 10.694 2.742
```

Energy ordering: arrangement P at the bottom, the next structure 39 meV/atom above.

Arrangement P

MgCr2P2O10 | PBE with a Hubbard U | optimized geometry

Properties
- space-group type = No. 5

```
30
Lattice="5.651 -3.576 0.000 5.651 3.576 0.000 -5.648 0.000 7.936" Properties=species:S:1:pos:R:3 pbc="T T T"
Mg 0.000 0.000 0.000
Mg 2.827 -1.788 3.968
Cr 4.232 0.882 1.988
Cr 1.423 0.882 5.948
Cr -1.403 -0.907 5.956
Cr 7.058 -0.907 1.980
P -0.003 -0.011 3.297
P 2.821 -1.800 0.671
P 5.658 -0.011 4.639
P 2.834 -1.800 7.265
O 0.141 2.339 5.561
O -2.685 0.551 6.342
O 4.082 1.993 0.240
O -1.255 0.205 4.208
O 2.822 1.769 2.704
O 5.514 2.339 2.374
O 2.832 1.769 5.232
O 1.573 1.993 7.696
O 1.257 -0.216 4.200
O 0.019 -0.012 6.672
O 2.950 -0.593 1.621
O 5.636 -0.012 1.264
O -1.567 -2.004 7.704
O 4.398 -0.216 3.736
O -0.122 -2.382 5.589
O 2.705 -0.593 6.315
O 8.340 0.551 1.594
O 6.909 0.205 3.728
O 7.222 -2.004 0.232
O 5.776 -2.382 2.347
```

Arrangement Q

MgCr2P2O10 | PBE with a Hubbard U | optimized geometry

Properties
- space-group type = No. 1

```
15
Lattice="5.125 0.000 0.000 -0.334 5.360 0.000 -2.282 -2.496 6.200" Properties=species:S:1:pos:R:3 pbc="T T T"
Mg 0.000 0.000 0.000
Cr -1.284 1.434 3.075
Cr 2.679 0.189 6.180
P 0.141 -1.042 4.531
P 2.376 3.905 1.660
O -0.405 1.481 1.406
O -0.965 -1.047 5.646
O -0.340 3.102 3.630
O 0.971 4.007 0.990
O 0.103 0.327 3.812
O 1.539 -1.144 5.220
O 2.427 2.544 2.395
O 2.881 -0.235 2.555
O 3.469 3.905 0.529
O 2.930 1.381 4.788
```

Arrangement R

MgCr2P2O10 | PBE with a Hubbard U | optimized geometry

Properties
- space-group type = No. 1

```
15
Lattice="5.564 0.000 0.000 -0.073 6.100 0.000 -0.199 -0.020 6.108" Properties=species:S:1:pos:R:3 pbc="T T T"
Mg 0.000 0.000 0.000
Cr 1.389 2.476 0.606
Cr 3.805 5.510 3.640
P 2.563 2.454 3.653
P 2.632 5.490 0.626
O -0.135 5.677 4.086
O 1.570 4.413 0.260
O 1.660 2.850 2.454
O 1.741 0.549 0.995
O 1.742 2.110 4.913
O 3.389 1.210 3.242
O 3.347 5.853 5.547
O 3.471 3.661 3.975
O 3.677 5.134 1.703
O 5.330 2.035 0.443
```

Arrangement S

MgCr2P2O10 | PBE with a Hubbard U | optimized geometry

Properties
- space-group type = No. 1

```
15
Lattice="5.256 0.000 0.000 -0.904 5.276 0.000 -1.905 -2.349 6.254" Properties=species:S:1:pos:R:3 pbc="T T T"
Mg 0.000 0.000 0.000
Cr 2.010 0.126 4.697
Cr 2.938 1.386 1.605
P -0.702 -1.104 3.153
P 1.421 3.729 0.027
O -1.356 2.886 2.338
O -1.716 1.320 5.331
O 0.474 -0.879 4.103
O 1.941 -0.263 0.832
O 1.478 2.423 0.849
O 0.892 1.597 5.587
O 2.148 1.031 3.106
O 3.939 1.489 0.076
O 3.292 -1.268 4.066
O 4.420 0.051 2.093
```

Energy ordering: arrangement S at the bottom, the next structure 22 meV/atom above.

Arrangement P

MgCr2P2O10 | PBE with a Hubbard U | optimized geometry

Properties
- space-group type = No. 81

```
15
Lattice="6.124 0.000 0.000 0.000 6.124 0.000 0.000 0.000 5.450" Properties=species:S:1:pos:R:3 pbc="T T T"
Mg 0.000 0.000 0.000
Cr 0.000 3.062 1.470
Cr 3.062 0.000 3.980
P 0.000 0.000 2.725
P 3.062 3.062 2.725
O 0.000 3.062 5.255
O 0.379 1.108 1.704
O 1.108 5.745 3.747
O 1.826 3.453 1.877
O 2.671 1.826 3.573
O 3.062 0.000 0.195
O 3.453 4.298 3.573
O 4.298 2.671 1.877
O 5.016 0.379 3.747
O 5.745 5.016 1.704
```

Arrangement Q

MgCr2P2O10 | PBE with a Hubbard U | optimized geometry

Properties
- space-group type = No. 1

```
15
Lattice="5.517 0.000 0.000 0.008 5.905 0.000 0.008 0.250 6.349" Properties=species:S:1:pos:R:3 pbc="T T T"
Mg 0.000 0.000 0.000
Cr 1.215 1.962 1.408
Cr 3.736 4.884 4.437
P 2.241 1.971 4.478
P 2.702 4.823 1.319
O 1.311 1.677 5.683
O 1.396 2.369 3.254
O 1.687 0.090 1.531
O 1.754 3.683 0.856
O 3.056 0.704 4.115
O 3.200 3.118 4.876
O 3.539 4.496 2.543
O 3.673 5.124 0.142
O 5.091 1.647 1.212
O 5.404 5.090 4.631
```

Energy ordering: arrangement Q at the bottom, the next structure 48 meV/atom above.

Arrangement P

MgCr4Pb4O16 | PBE with a Hubbard U | optimized geometry

Properties
- space-group type = No. 1

```
25
Lattice="7.047 0.000 0.000 0.198 7.538 0.000 0.991 0.025 7.730" Properties=species:S:1:pos:R:3 pbc="T T T"
Mg 0.000 0.000 0.000
Cr 2.011 1.856 2.038
Cr 4.163 4.200 5.235
Cr 5.908 0.348 6.069
Cr 7.107 5.471 1.792
Pb 2.965 0.380 5.029
Pb 3.624 5.809 1.060
Pb 5.547 2.054 2.310
Pb 7.524 4.322 5.358
O 0.749 5.436 3.330
O 0.890 2.209 3.230
O 1.187 1.485 0.640
O 1.298 5.932 0.573
O 3.001 3.033 5.434
O 2.928 0.526 2.550
O 3.412 5.572 4.655
O 3.086 3.096 1.823
O 4.698 7.425 6.976
O 4.952 4.530 6.654
O 5.236 0.759 4.525
O 5.382 3.709 4.165
O 6.097 6.917 1.543
O 6.729 1.530 6.960
O 6.195 4.167 1.239
O 7.356 6.642 6.048
```

Arrangement Q

MgCr4Pb4O16 | PBE with a Hubbard U | optimized geometry

Properties
- space-group type = No. 1

```
25
Lattice="7.179 0.000 0.000 -1.713 7.354 0.000 -0.018 -0.080 7.608" Properties=species:S:1:pos:R:3 pbc="T T T"
Mg 0.000 0.000 0.000
Cr 1.322 1.397 5.631
Cr 2.021 5.699 3.204
Cr 4.124 4.760 6.882
Cr 6.462 1.990 1.771
Pb 0.782 4.748 7.349
Pb 2.553 1.791 1.704
Pb 4.980 1.408 5.185
Pb 5.549 5.927 3.611
O 0.043 0.106 5.441
O 0.349 0.591 2.101
O 0.460 2.810 5.821
O 0.549 3.154 1.377
O 1.791 0.753 7.226
O 0.844 5.515 4.364
O 1.271 6.241 1.801
O 2.583 1.324 4.517
O 2.808 4.297 2.911
O 3.146 3.573 7.521
O 3.169 6.071 6.625
O 3.228 6.824 3.682
O 4.783 4.241 5.455
O 5.728 1.433 0.337
O 5.518 2.416 3.090
O 5.430 5.361 0.298
```

Energy ordering: arrangement Q at the bottom, the next structure 14 meV/atom above.

Arrangement P

MgCrPtO2 | PBE with a Hubbard U | optimized geometry

Properties
- space-group type = No. 8

```
5
Lattice="2.567 -1.482 0.000 2.567 1.482 0.000 -1.718 0.000 8.129" Properties=species:S:1:pos:R:3 pbc="T T T"
Mg 0.000 0.000 0.000
Cr 3.428 0.000 2.663
Pt -0.008 0.000 6.120
O 0.005 0.000 3.593
O 1.716 0.000 1.386
```

Arrangement Q

MgCrPtO2 | PBE with a Hubbard U | optimized geometry

Properties
- space-group type = No. 1

```
5
Lattice="2.951 0.000 0.000 1.473 2.560 0.000 1.447 0.800 8.194" Properties=species:S:1:pos:R:3 pbc="T T T"
Mg 0.000 0.000 0.000
Cr 4.394 2.508 2.747
Pt 2.929 1.664 6.189
O 1.448 0.806 1.451
O 2.919 1.654 3.684
```

Energy ordering: arrangement P at the bottom, the next structure 31 meV/atom above.

Arrangement P

RbMg6CrO8 | PBE with a Hubbard U | optimized geometry

Properties
- space-group type = No. 123

```
16
Lattice="4.501 0.000 0.000 0.000 4.501 0.000 0.000 0.000 8.855" Properties=species:S:1:pos:R:3 pbc="T T T"
Rb 0.000 0.000 0.000
Mg 0.000 2.250 2.260
Mg 0.000 2.250 6.595
Mg 2.250 0.000 2.260
Mg 2.250 0.000 6.595
Mg 2.250 2.250 0.000
Mg 2.250 2.250 4.428
Cr 0.000 0.000 4.428
O 0.000 0.000 2.476
O 0.000 0.000 6.379
O 0.000 2.250 0.000
O 0.000 2.250 4.428
O 2.250 0.000 0.000
O 2.250 0.000 4.428
O 2.250 2.250 2.232
O 2.250 2.250 6.623
```

Arrangement Q

RbMg6CrO8 | PBE with a Hubbard U | optimized geometry

Properties
- space-group type = No. 123

```
16
Lattice="4.500 0.000 0.000 0.000 4.500 0.000 0.000 0.000 8.843" Properties=species:S:1:pos:R:3 pbc="T T T"
Rb 0.000 0.000 0.000
Mg 0.000 0.000 4.421
Mg 0.000 2.250 2.303
Mg 0.000 2.250 6.540
Mg 2.250 0.000 2.303
Mg 2.250 0.000 6.540
Mg 2.250 2.250 4.421
Cr 2.250 2.250 0.000
O 0.000 0.000 2.485
O 0.000 0.000 6.358
O 0.000 2.250 0.000
O 0.000 2.250 4.421
O 2.250 0.000 0.000
O 2.250 0.000 4.421
O 2.250 2.250 2.150
O 2.250 2.250 6.693
```

Energy ordering: arrangement P at the bottom, the next structure 14 meV/atom above.

Arrangement P

MgCr2Sb4O12 | PBE with a Hubbard U | optimized geometry

Properties
- space-group type = No. 81

```
19
Lattice="4.810 0.000 0.000 0.000 4.810 0.000 0.000 0.000 10.698" Properties=species:S:1:pos:R:3 pbc="T T T"
Mg 0.000 0.000 0.000
Cr 0.000 2.405 7.845
Cr 2.405 0.000 2.852
Sb 0.000 2.405 1.519
Sb 0.000 2.405 4.633
Sb 2.405 0.000 6.065
Sb 2.405 0.000 9.178
O 0.747 1.297 9.264
O 0.915 1.443 6.130
O 1.000 1.560 3.094
O 1.297 4.062 1.433
O 1.443 3.894 4.568
O 1.560 3.810 7.604
O 3.250 1.000 7.604
O 3.367 0.915 4.568
O 3.512 0.747 1.433
O 3.810 3.250 3.094
O 3.894 3.367 6.130
O 4.062 3.512 9.264
```

Arrangement Q

MgCr2Sb4O12 | PBE with a Hubbard U | optimized geometry

Properties
- space-group type = No. 3

```
19
Lattice="5.015 0.000 0.000 0.000 9.598 0.000 -0.084 0.000 5.018" Properties=species:S:1:pos:R:3 pbc="T T T"
Mg 0.000 0.000 0.000
Cr -0.042 4.833 2.509
Cr 2.507 0.156 0.000
Sb -0.042 1.707 2.509
Sb -0.042 7.875 2.509
Sb 2.507 3.365 0.000
Sb 2.507 6.509 0.000
O 0.901 3.287 3.335
O 1.033 6.361 3.467
O 1.087 0.251 3.463
O 1.204 1.424 0.919
O 1.433 8.132 0.705
O 1.489 5.013 0.931
O 3.442 5.013 4.087
O 3.498 8.132 4.313
O 3.727 1.424 4.099
O 3.844 0.251 1.555
O 3.898 6.361 1.551
O 4.030 3.287 1.683
```

Energy ordering: arrangement P at the bottom, the next structure 55 meV/atom above.